(1)
Material: Pu2Re3Si5
Method: DFT, PBE-GGA
State: relaxed

Lattice parameters (Å, degrees): 10.9400 10.9400 5.4061 90.00 90.00 90.00
Closest atoms and distances in Å follow each position.
Element x y z (fractional)
Re: 0.1224 0.1420 0.5000  6 Si 2.45-2.54
Re: 0.5000 0.0000 0.2500  6 Si 2.46-2.70, 2 Re 2.70
Pu: 0.7658 0.9244 0.0000  9 Si 2.88-3.21, 2 Re 3.05
Pu: 0.5756 0.7342 0.5000  9 Si 2.88-3.21, 2 Re 3.05
Si: 0.3253 0.8253 0.2500  3 Re 2.48-2.70, 4 Si 2.59-2.70
Pu: 0.7342 0.4244 0.5000  9 Si 2.88-3.21, 2 Re 3.05
Si: 0.0000 0.0000 0.2236  1 Si 2.42, 4 Re 2.54
Si: 0.0000 0.0000 0.7764  1 Si 2.42, 4 Re 2.54
Si: 0.6857 0.9728 0.5000  4 Re 2.45-2.50, 2 Si 2.59
Pu: 0.9244 0.2342 0.0000  9 Si 2.88-3.21, 2 Re 3.05
Si: 0.5000 0.5000 0.2764  1 Si 2.42, 4 Re 2.54
Si: 0.5000 0.5000 0.7236  1 Si 2.42, 4 Re 2.54
Si: 0.3143 0.0272 0.5000  4 Re 2.45-2.50, 2 Si 2.59
Si: 0.0272 0.6857 0.5000  4 Re 2.45-2.50, 2 Si 2.59
Si: 0.3253 0.8253 0.7500  3 Re 2.48-2.70, 4 Si 2.59-2.70
Si: 0.4728 0.1857 0.0000  4 Re 2.45-2.50, 2 Si 2.59
Pu: 0.0756 0.7658 0.0000  9 Si 2.88-3.21, 2 Re 3.05
Si: 0.6747 0.1747 0.2500  3 Re 2.48-2.70, 4 Si 2.59-2.70
Pu: 0.2658 0.5756 0.5000  9 Si 2.88-3.21, 2 Re 3.05
Re: 0.8776 0.8580 0.5000  6 Si 2.45-2.54
Si: 0.6747 0.1747 0.7500  3 Re 2.48-2.70, 4 Si 2.59-2.70
Pu: 0.2342 0.0756 0.0000  9 Si 2.88-3.21, 2 Re 3.05
Re: 0.3580 0.3776 0.0000  6 Si 2.45-2.54
Si: 0.8253 0.6747 0.7500  3 Re 2.48-2.70, 4 Si 2.59-2.70
Si: 0.1747 0.3253 0.7500  3 Re 2.48-2.70, 4 Si 2.59-2.70
Re: 0.1420 0.8776 0.5000  6 Si 2.45-2.54
Si: 0.9728 0.3143 0.5000  4 Re 2.45-2.50, 2 Si 2.59
Re: 0.0000 0.5000 0.7500  6 Si 2.46-2.70, 2 Re 2.70
Re: 0.0000 0.5000 0.2500  6 Si 2.46-2.70, 2 Re 2.70
Si: 0.8253 0.6747 0.2500  3 Re 2.48-2.70, 4 Si 2.59-2.70
Re: 0.6224 0.3580 0.0000  6 Si 2.45-2.54
Si: 0.1857 0.5272 0.0000  4 Re 2.45-2.50, 2 Si 2.59
Si: 0.8143 0.4728 0.0000  4 Re 2.45-2.50, 2 Si 2.59
Re: 0.3776 0.6420 0.0000  6 Si 2.45-2.54
Re: 0.6420 0.6224 0.0000  6 Si 2.45-2.54
Pu: 0.4244 0.2658 0.5000  9 Si 2.88-3.21, 2 Re 3.05
Re: 0.8580 0.1224 0.5000  6 Si 2.45-2.54
Si: 0.5272 0.8143 0.0000  4 Re 2.45-2.50, 2 Si 2.59
Si: 0.1747 0.3253 0.2500  3 Re 2.48-2.70, 4 Si 2.59-2.70
Re: 0.5000 0.0000 0.7500  6 Si 2.46-2.70, 2 Re 2.70

Total energy = -9.7580 eV/atom
Energy of formation from the pure elements = -0.423 eV/atom

(2)
Material: ZrNbSi
Method: DFT, PBE-GGA
State: relaxed

Lattice parameters (Å, degrees): 5.5067 5.5098 8.3676 90.00 90.00 120.02
Closest atoms and distances in Å follow each position.
Element x y z (fractional)
Zr: 0.6663 0.3331 0.5513  5 Si 2.88-3.22, 4 Nb 3.21-3.22
Zr: 0.6663 0.3331 0.9487  5 Si 2.88-3.22, 4 Nb 3.21-3.22
Si: 0.6673 0.8336 0.7500  6 Nb 2.74-2.79, 2 Zr 3.07
Nb: 0.0006 0.0003 0.4757  4 Si 2.59-2.79, 2 Nb 2.80
Nb: 0.1677 0.3368 0.7500  4 Nb 2.72-2.80, 2 Si 2.74-2.76, 2 Zr 3.04
Si: 0.8157 0.1865 0.2500  2 Si 2.43-2.44, 2 Nb 2.59
Zr: 0.3284 0.6642 0.4379  5 Nb 3.04-3.22, 7 Si 3.07-3.20, 4 Zr 3.15-3.33
Zr: 0.3284 0.6642 0.0621  5 Nb 3.04-3.22, 7 Si 3.07-3.20, 4 Zr 3.15-3.33
Si: 0.3754 0.1877 0.2500  2 Si 2.43, 2 Nb 2.60
Nb: 0.0006 0.0003 0.0243  4 Si 2.59-2.79, 2 Nb 2.80
Nb: 0.1677 0.8309 0.7500  4 Nb 2.72-2.80, 2 Si 2.74-2.76, 2 Zr 3.04
Si: 0.8157 0.6293 0.2500  2 Si 2.43-2.44, 2 Nb 2.59

Total energy = -8.4215 eV/atom
Energy of formation from the pure elements = -0.373 eV/atom

(3)
Material: NaBrO2
Method: DFT, PBE-GGA
State: relaxed

Lattice parameters (Å, degrees): 8.5091 5.6635 7.4052 74.32 90.00 90.00
Closest atoms and distances in Å follow each position.
Element x y z (fractional)
O: 0.6631 0.2408 0.2236  1 Br 1.76
Br: 0.4921 0.5703 0.7421  2 O 1.74-1.76
Na: 0.8250 0.0638 0.4700  4 O 2.29-2.46
Br: 0.5079 0.4297 0.2579  2 O 1.74-1.76
Br: 0.0079 0.5703 0.2421  2 O 1.74-1.76
O: 0.1631 0.7592 0.2764  1 Br 1.76
Na: 0.6750 0.0638 0.9700  4 O 2.29-2.46
O: 0.4357 0.2635 0.8153  1 Br 1.74
O: 0.5643 0.7365 0.1847  1 Br 1.74
Na: 0.3250 0.9362 0.0300  4 O 2.29-2.46
Br: 0.9921 0.4297 0.7579  2 O 1.74-1.76
O: 0.3369 0.7592 0.7764  1 Br 1.76
O: 0.9357 0.7365 0.6847  1 Br 1.74
O: 0.8369 0.2408 0.7236  1 Br 1.76
Na: 0.1750 0.9362 0.5300  4 O 2.29-2.46
O: 0.0643 0.2635 0.3153  1 Br 1.74

Total energy = -3.7319 eV/atom
Energy of formation from the pure elements = -0.862 eV/atom
ΔE to the lowest computed polymorph = 0.0367 eV per atom

(4)
Material: NiP8W
Method: DFT, PBE-GGA
State: relaxed

Lattice parameters (Å, degrees): 6.2381 6.2381 8.7725 90.00 90.00 120.00
Closest atoms and distances in Å follow each position.
Element x y z (fractional)
W: 0.6667 0.3333 0.2500  8 P 2.51-2.54
P: 0.3203 0.2759 0.6532  2 P 2.23-2.25, 1 Ni 2.31
P: 0.0445 0.7241 0.1532  2 P 2.23-2.25, 1 Ni 2.31
P: 0.6797 0.9556 0.1532  2 P 2.23-2.25, 1 Ni 2.31
W: 0.3333 0.6667 0.7500  8 P 2.51-2.54
P: 0.6797 0.7241 0.3468  2 P 2.23-2.25, 1 Ni 2.31
P: 0.3333 0.6667 0.4634  3 P 2.25, 1 W 2.51
P: 0.3203 0.0445 0.8468  2 P 2.23-2.25, 1 Ni 2.31
Ni: 0.0000 0.0000 0.0000  6 P 2.31
P: 0.0445 0.3203 0.3468  2 P 2.23-2.25, 1 Ni 2.31
P: 0.6667 0.3333 0.9634  3 P 2.25, 1 W 2.51
P: 0.7241 0.6797 0.8468  2 P 2.23-2.25, 1 Ni 2.31
P: 0.9556 0.2759 0.8468  2 P 2.23-2.25, 1 Ni 2.31
P: 0.7241 0.0445 0.6532  2 P 2.23-2.25, 1 Ni 2.31
P: 0.2759 0.9556 0.3468  2 P 2.23-2.25, 1 Ni 2.31
Ni: 0.0000 0.0000 0.5000  6 P 2.31
P: 0.6667 0.3333 0.5366  3 P 2.25, 1 W 2.51
P: 0.3333 0.6667 0.0366  3 P 2.25, 1 W 2.51
P: 0.2759 0.3203 0.1532  2 P 2.23-2.25, 1 Ni 2.31
P: 0.9556 0.6797 0.6532  2 P 2.23-2.25, 1 Ni 2.31

Total energy = -6.4379 eV/atom
Energy of formation from the pure elements = -0.233 eV/atom

(5)
Material: Rb2NaErCl6
Method: DFT, PBE-GGA
State: relaxed

Lattice parameters (Å, degrees): 7.6044 7.6044 7.6044 60.00 60.00 60.00
Closest atoms and distances in Å follow each position.
Element x y z (fractional)
Er: 0.0000 0.0000 0.0000  6 Cl 2.61
Cl: 0.7573 0.2427 0.2427  1 Er 2.61, 1 Na 2.77
Cl: 0.2427 0.7573 0.7573  1 Er 2.61, 1 Na 2.77
Cl: 0.2427 0.7573 0.2427  1 Er 2.61, 1 Na 2.77
Cl: 0.2427 0.2427 0.7573  1 Er 2.61, 1 Na 2.77
Rb: 0.2500 0.2500 0.2500  12 Cl 3.80
Na: 0.5000 0.5000 0.5000  6 Cl 2.77
Cl: 0.7573 0.7573 0.2427  1 Er 2.61, 1 Na 2.77
Cl: 0.7573 0.2427 0.7573  1 Er 2.61, 1 Na 2.77
Rb: 0.7500 0.7500 0.7500  12 Cl 3.80

Total energy = -3.9928 eV/atom
Energy of formation from the pure elements = -2.467 eV/atom

(6)
Material: B6O
Method: DFT, PBE-GGA
State: relaxed

Lattice parameters (Å, degrees): 5.1535 5.1535 5.1535 63.11 63.11 63.11
Closest atoms and distances in Å follow each position.
Element x y z (fractional)
B: 0.7988 0.3237 0.7988  1 O 1.50
B: 0.7988 0.7988 0.3237  1 O 1.50
B: 0.9977 0.6668 0.9977  6 B 1.70-1.81
B: 0.3237 0.7988 0.7988  1 O 1.50
B: 0.2012 0.2012 0.6763  1 O 1.50
B: 0.0023 0.3332 0.0023  6 B 1.70-1.81
B: 0.0023 0.0023 0.3332  6 B 1.70-1.81
B: 0.2012 0.6763 0.2012  1 O 1.50
B: 0.3332 0.0023 0.0023  6 B 1.70-1.81
B: 0.6763 0.2012 0.2012  1 O 1.50
B: 0.6668 0.9977 0.9977  6 B 1.70-1.81
O: 0.6223 0.6223 0.6223  3 B 1.50
B: 0.9977 0.9977 0.6668  6 B 1.70-1.81
O: 0.3777 0.3777 0.3777  3 B 1.50

Total energy = -7.1392 eV/atom
Energy of formation from the pure elements = -0.805 eV/atom